# 1
First-principles (GGA-PBE) data for a relaxed LaCd2Cu crystal, as listed in the Materials Project.

Output
Space group   F-43m
M_tot   0.0000 μB/atom
Energy of formation   -208 meV per atom

Lattice parameters (Å, degrees): 5.058 5.058 5.058 60.00 60.00 60.00
Fractional coordinates of all 4 atoms:
La 0.000 0.000 0.000
Cd 0.250 0.250 0.250
Cd 0.500 0.500 0.500
Cu 0.750 0.750 0.750



# 2
First-principles (GGA-PBE) data for a relaxed Mg6CdCuO8 crystal, as listed in the Materials Project.

Output
Space group   P4/mmm
Offset from the most stable computed form   10 meV per atom
M_tot   0.0271 μB/atom
Energy of formation   -2487 meV per atom

Lattice parameters (Å, degrees): 8.677 4.362 4.362 90.00 90.00 90.00
Fractional coordinates of all 16 atoms:
Mg 0.500 0.000 0.000
Mg 0.500 0.500 0.500
Mg 0.253 0.000 0.500
Mg 0.747 0.000 0.500
Mg 0.253 0.500 0.000
Mg 0.747 0.500 0.000
Cd 0.000 0.500 0.500
Cu 0.000 0.000 0.000
O 0.251 0.000 0.000
O 0.749 0.000 0.000
O 0.266 0.500 0.500
O 0.734 0.500 0.500
O 0.000 0.000 0.500
O 0.500 0.000 0.500
O 0.000 0.500 0.000
O 0.500 0.500 0.000



# 3
First-principles (GGA-PBE) data for a relaxed Mg14CdCuO16 crystal, as listed in the Materials Project.

Output
Space group   Pmmm
Offset from the most stable computed form   0 meV per atom
M_tot   0.0105 μB/atom
Energy of formation   -2773 meV per atom

Lattice parameters (Å, degrees): 8.703 8.540 4.294 90.00 90.00 90.00
Fractional coordinates of all 32 atoms:
Mg 0.500 0.000 0.000
Mg 0.500 0.500 0.000
Mg 0.000 0.243 0.500
Mg 0.000 0.757 0.500
Mg 0.500 0.248 0.500
Mg 0.500 0.752 0.500
Mg 0.251 0.000 0.500
Mg 0.256 0.500 0.500
Mg 0.749 0.000 0.500
Mg 0.744 0.500 0.500
Mg 0.254 0.245 0.000
Mg 0.254 0.755 0.000
Mg 0.746 0.245 0.000
Mg 0.746 0.755 0.000
Cd 0.000 0.500 0.000
Cu 0.000 0.000 0.000
O 0.264 0.000 0.000
O 0.264 0.500 0.000
O 0.736 0.000 0.000
O 0.736 0.500 0.000
O 0.248 0.250 0.500
O 0.248 0.750 0.500
O 0.752 0.250 0.500
O 0.752 0.750 0.500
O 0.000 0.000 0.500
O 0.000 0.500 0.500
O 0.500 0.000 0.500
O 0.500 0.500 0.500
O 0.000 0.232 0.000
O 0.000 0.768 0.000
O 0.500 0.250 0.000
O 0.500 0.750 0.000



# 4
First-principles (GGA-PBE) data for a relaxed Mg6CdCuO8 crystal, as listed in the Materials Project.

Output
Space group   P4/mmm
Offset from the most stable computed form   0 meV per atom
M_tot   0.0000 μB/atom
Energy of formation   -2497 meV per atom

Lattice parameters (Å, degrees): 8.604 4.373 4.373 90.00 90.00 90.00
Fractional coordinates of all 16 atoms:
Mg 0.000 0.500 0.500
Mg 0.500 0.500 0.500
Mg 0.242 0.000 0.500
Mg 0.758 0.000 0.500
Mg 0.242 0.500 0.000
Mg 0.758 0.500 0.000
Cd 0.500 0.000 0.000
Cu 0.000 0.000 0.000
O 0.234 0.000 0.000
O 0.766 0.000 0.000
O 0.249 0.500 0.500
O 0.751 0.500 0.500
O 0.000 0.000 0.500
O 0.500 0.000 0.500
O 0.000 0.500 0.000
O 0.500 0.500 0.000



# 5
First-principles (GGA-PBE) data for a relaxed Mg14CdCuO16 crystal, as listed in the Materials Project.

Output
Space group   P4/mmm
Offset from the most stable computed form   5 meV per atom
M_tot   0.0140 μB/atom
Energy of formation   -2769 meV per atom

Lattice parameters (Å, degrees): 8.610 8.610 4.297 90.00 90.00 90.00
Fractional coordinates of all 32 atoms:
Mg 0.000 0.500 0.000
Mg 0.500 0.000 0.000
Mg 0.000 0.249 0.500
Mg 0.000 0.751 0.500
Mg 0.500 0.245 0.500
Mg 0.500 0.755 0.500
Mg 0.249 0.000 0.500
Mg 0.245 0.500 0.500
Mg 0.751 0.000 0.500
Mg 0.755 0.500 0.500
Mg 0.247 0.247 0.000
Mg 0.247 0.753 0.000
Mg 0.753 0.247 0.000
Mg 0.753 0.753 0.000
Cd 0.500 0.500 0.000
Cu 0.000 0.000 0.000
O 0.251 0.000 0.000
O 0.235 0.500 0.000
O 0.749 0.000 0.000
O 0.765 0.500 0.000
O 0.250 0.250 0.500
O 0.250 0.750 0.500
O 0.750 0.250 0.500
O 0.750 0.750 0.500
O 0.000 0.000 0.500
O 0.000 0.500 0.500
O 0.500 0.000 0.500
O 0.500 0.500 0.500
O 0.000 0.251 0.000
O 0.000 0.749 0.000
O 0.500 0.235 0.000
O 0.500 0.765 0.000



# 6
First-principles (GGA-PBE) data for a relaxed MnCdCu4Sn2Se8 crystal, as listed in the Materials Project.

Output
Space group   C2
M_tot   0.3125 μB/atom
Energy of formation   -581 meV per atom

Lattice parameters (Å, degrees): 7.116 7.116 11.689 65.81 65.81 48.51
Fractional coordinates of all 16 atoms:
Mn 0.000 0.000 0.000
Cd 0.000 0.000 0.500
Cu 0.750 0.749 0.876
Cu 0.750 0.751 0.374
Cu 0.251 0.250 0.124
Cu 0.249 0.250 0.626
Sn 0.500 0.500 0.752
Sn 0.500 0.500 0.248
Se 0.602 0.113 0.699
Se 0.621 0.108 0.189
Se 0.107 0.622 0.946
Se 0.113 0.601 0.444
Se 0.378 0.893 0.054
Se 0.399 0.887 0.556
Se 0.887 0.398 0.301
Se 0.892 0.379 0.811



# 7
First-principles (GGA-PBE) data for a relaxed CdCuN crystal, as listed in the Materials Project.

Output
Space group   P-6m2
M_tot   0.0001 μB/atom
Energy of formation   249 meV per atom

Lattice parameters (Å, degrees): 3.975 3.975 3.687 90.00 90.00 120.00
Fractional coordinates of all 3 atoms:
Cd 0.000 0.000 0.500
Cu 0.667 0.333 0.000
N 0.667 0.333 0.500



# 8
First-principles (GGA-PBE) data for a relaxed Nd2CdCu2 crystal, as listed in the Materials Project.

Output
Space group   Cmmm
Energy of formation   -263 meV per atom

Lattice parameters (Å, degrees): 7.623 7.623 3.726 90.00 90.00 147.45
Fractional coordinates of all 5 atoms:
Nd 0.370 0.630 0.000
Nd 0.630 0.370 0.000
Cd 0.000 0.000 0.500
Cu 0.202 0.798 0.500
Cu 0.798 0.202 0.500



# 9
First-principles (GGA-PBE) data for a relaxed Nd2CdCu2 crystal, as listed in the Materials Project.

Output
Space group   P4/mbm
Energy of formation   -255 meV per atom

Lattice parameters (Å, degrees): 7.722 7.722 3.865 90.00 90.00 90.00
Fractional coordinates of all 10 atoms:
Nd 0.676 0.176 0.000
Nd 0.324 0.824 0.000
Nd 0.176 0.324 0.000
Nd 0.824 0.676 0.000
Cd 0.500 0.500 0.500
Cd 0.000 0.000 0.500
Cu 0.882 0.382 0.500
Cu 0.118 0.618 0.500
Cu 0.382 0.118 0.500
Cu 0.618 0.882 0.500



# 10
First-principles (GGA-PBE) data for a relaxed CdCu3NiSe4 crystal, as listed in the Materials Project.

Output
Space group   P-43m
M_tot   0.0282 μB/atom
Energy of formation   -376 meV per atom

Lattice parameters (Å, degrees): 5.772 5.772 5.772 90.00 90.00 90.00
Fractional coordinates of all 9 atoms:
Cd 0.500 0.500 0.500
Cu 0.000 0.500 0.000
Cu 0.000 0.000 0.500
Cu 0.500 0.000 0.000
Ni 0.000 0.000 0.000
Se 0.235 0.235 0.235
Se 0.765 0.765 0.235
Se 0.235 0.765 0.765
Se 0.765 0.235 0.765



# 11
First-principles (GGA-PBE) data for a relaxed Cd2CuS2O2 crystal, as listed in the Materials Project.

Output
Space group   I4/mmm
M_tot   0.3314 μB/atom
Energy of formation   -256 meV per atom

Lattice parameters (Å, degrees): 3.986 3.986 9.946 101.56 101.56 90.00
Fractional coordinates of all 7 atoms:
Cd 0.750 0.250 0.500
Cd 0.250 0.750 0.500
Cu 0.000 0.000 0.000
S 0.837 0.837 0.673
S 0.163 0.163 0.327
O 0.500 0.000 0.000
O 0.000 0.500 0.000



# 12
First-principles (GGA-PBE) data for a relaxed CdCu2S2O8 crystal, as listed in the Materials Project.

Output
Space group   P2_1/c
M_tot   0.3050 μB/atom
Energy of formation   -936 meV per atom

Lattice parameters (Å, degrees): 8.440 5.892 9.765 53.96 90.00 90.00
Fractional coordinates of all 26 atoms:
Cd 0.000 0.000 0.000
Cd 0.500 0.000 0.500
Cu 0.133 0.709 0.542
Cu 0.867 0.291 0.458
Cu 0.633 0.291 0.958
Cu 0.367 0.709 0.042
S 0.879 0.635 0.616
S 0.121 0.365 0.384
S 0.379 0.365 0.884
S 0.621 0.635 0.116
O 0.512 0.056 0.694
O 0.488 0.944 0.306
O 0.012 0.944 0.806
O 0.988 0.056 0.194
O 0.301 0.487 0.966
O 0.699 0.513 0.034
O 0.801 0.513 0.534
O 0.199 0.487 0.466
O 0.347 0.558 0.696
O 0.653 0.442 0.304
O 0.847 0.442 0.804
O 0.153 0.558 0.196
O 0.294 0.089 0.953
O 0.706 0.911 0.047
O 0.794 0.911 0.547
O 0.206 0.089 0.453